# 1
KAl2P2H5O11 | PBE | relaxed

Cell lengths 9.5882, 9.5894, 11.9152 Å; angles 90.00, 128.23, 90.00 degrees
Space group P2_1/c (No. 14)
Symmetry-distinct sites (fractional):
K 0.1197 0.2034 0.0980
Al 0.2081 0.7252 0.8099
Al 0.4816 0.0436 0.8715
P 0.1485 0.0271 0.8521
P 0.3415 0.6857 0.1325
H 0.1457 0.1325 0.3782
H 0.3036 0.0794 0.5358
H 0.3389 0.0195 0.3940
H 0.4207 0.5335 0.8142
H 0.4547 0.1998 0.0230
O 0.0019 0.6221 0.6840
O 0.0700 0.6188 0.2823
O 0.2131 0.7299 0.1621
O 0.2330 0.6704 0.9702
O 0.2466 0.0869 0.7969
O 0.2761 0.1391 0.4569
O 0.2784 0.0111 0.0177
O 0.3522 0.5616 0.8475
O 0.4224 0.5392 0.2024
O 0.4454 0.6364 0.4440
O 0.4978 0.7119 0.6954

# 2
Nd3AlSi5N10O | PBE | relaxed

Cell lengths 4.9303, 10.2101, 10.2001 Å; angles 90.00, 90.25, 90.00 degrees
Space group Pc (No. 7)
Symmetry-distinct sites (fractional):
Nd 0.0000 0.0579 0.0000
Nd 0.0140 0.4328 0.6210
Nd 0.9950 0.2509 0.3160
Al 0.5473 0.1800 0.5289
Si 0.0580 0.1311 0.6973
Si 0.0623 0.3648 0.9319
Si 0.5523 0.3248 0.1023
Si 0.5523 0.4672 0.3844
Si 0.5556 0.0388 0.2410
N 0.1731 0.1887 0.5507
N 0.2005 0.4899 0.3802
N 0.2017 0.3206 0.0796
N 0.2049 0.0153 0.2425
N 0.6619 0.4314 0.2268
N 0.6632 0.1681 0.1377
N 0.6650 0.3452 0.4867
N 0.6713 0.0732 0.3947
N 0.7167 0.3914 0.9590
N 0.7190 0.0981 0.6738
O 0.0903 0.2478 0.8160

Summary:
**E above lowest polymorph**: 2.9 meV per atom

# 3
UMn3 | PBE | relaxed

Cell lengths 3.7994, 3.7994, 7.5259 Å; angles 90.00, 90.00, 90.00 degrees
Space group I4/mmm (No. 139)
Symmetry-distinct sites (fractional):
U 0.0000 0.0000 0.0000
Mn 0.0000 0.0000 0.5000
Mn 0.0000 0.5000 0.2500

# 4
GeMo3 | PBE | relaxed

Cell lengths 4.9718, 4.9718, 4.9718 Å; angles 90.00, 90.00, 90.00 degrees
Space group Pm-3n (No. 223)
Symmetry-distinct sites (fractional):
Ge 0.0000 0.0000 0.0000
Mo 0.0000 0.2500 0.5000

# 5
Na2Nb2P6O21 | PBE | relaxed

Cell lengths 9.2219, 9.2219, 12.8205 Å; angles 90.00, 90.00, 120.00 degrees
Space group P6_3/m (No. 176)
Symmetry-distinct sites (fractional):
Na 0.0000 0.0000 0.0000
Na 0.0000 0.0000 0.2500
Nb 0.3333 0.6667 0.0256
P 0.0221 0.3612 0.6347
O 0.0424 0.2122 0.6264
O 0.0623 0.4428 0.7500
O 0.1430 0.5116 0.5660
O 0.1603 0.6760 0.1126

# 6
Na2UF8 | PBE | relaxed

Cell lengths 5.5434, 5.5434, 10.6576 Å; angles 90.00, 90.00, 90.00 degrees
Space group I4/mmm (No. 139)
Symmetry-distinct sites (fractional):
Na 0.0000 0.5000 0.2500
U 0.0000 0.0000 0.0000
F 0.2214 0.2214 0.1170

# 7
AgBiO2 | PBE | relaxed

Cell lengths 3.6848, 3.6848, 12.8986 Å; angles 90.00, 90.00, 120.00 degrees
Space group P6_3/mmc (No. 194)
Symmetry-distinct sites (fractional):
Ag 0.3333 0.6667 0.2500
Bi 0.0000 0.0000 0.0000
O 0.3333 0.6667 0.0879

# 8
ErFe6Ge6 | PBE | relaxed

Cell lengths 5.1048, 8.1120, 26.4865 Å; angles 90.00, 90.00, 90.00 degrees
Space group Immm (No. 71)
Symmetry-distinct sites (fractional):
Er 0.0000 0.0000 0.0000
Er 0.0000 0.5000 0.3326
Fe 0.0000 0.2514 0.5000
Fe 0.0000 0.2518 0.1667
Fe 0.2498 0.2486 0.0832
Fe 0.2500 0.2500 0.2500
Ge 0.0000 0.0000 0.1120
Ge 0.0000 0.0000 0.2226
Ge 0.0000 0.0000 0.4444
Ge 0.0000 0.1536 0.3334
Ge 0.0000 0.3455 0.0000
Ge 0.0000 0.5000 0.1105
Ge 0.0000 0.5000 0.2211
Ge 0.0000 0.5000 0.4444

These records have total energy values of -6.38 -8.07 -9.55 -9.44 -7.44 -5.77 -4.92 -6.67 eV per atom, in the order they appear.
These records have calculated formation energy values of -2.415 -1.433 0.143 -0.150 -2.771 -3.445 -1.108 -0.279 eV per atom, in the order they appear.
These records have ρ values of 2.59 4.89 12.31 9.74 2.65 4.42 7.64 8.52 Mg/m³, in the order they appear.